(1)
A geometry-optimized NaI structure, computed with meta-GGA r2SCAN.

Cell: 4.5519 4.5519 4.5519 Å, 60.00 60.00 60.00°
Atoms (fractional coordinates):
Na1 0.0000 0.0000 0.0000
I1 0.5000 0.5000 0.5000

Summary:
- volume (Å³ per cell) = 67
- energy of formation from the pure elements (eV/atom) = -1.48
- VASP energy (eV/atom) = -15.54



(2)
A geometry-optimized K3Bi2 structure, computed with meta-GGA r2SCAN.

Cell: 6.7973 6.7973 9.4488 Å, 79.00 79.00 92.37°
Atoms (fractional coordinates):
K1 0.8437 0.1563 0.7500
K2 0.3445 0.2394 0.4838
K3 0.7606 0.6555 0.0162
K4 0.6555 0.7606 0.5162
K5 0.2394 0.3445 0.9838
K6 0.1563 0.8437 0.2500
Bi1 0.6804 0.1138 0.1549
Bi2 0.8862 0.3196 0.3451
Bi3 0.3196 0.8862 0.8451
Bi4 0.1138 0.6804 0.6549

Summary:
- volume (Å³ per cell) = 419
- energy of formation from the pure elements (eV/atom) = -0.46
- VASP energy (eV/atom) = -27.48



(3)
A geometry-optimized SiO2 structure, computed with meta-GGA r2SCAN.

Cell: 13.6661 13.6661 8.9642 Å, 90.00 90.00 120.00°
Atoms (fractional coordinates):
O1 0.6307 0.0000 0.5421
O2 0.5809 0.1618 0.0000
O3 0.8382 0.4191 0.5000
O4 0.4161 0.2080 0.0000
O5 0.2080 0.7920 0.0000
O6 0.3693 0.3693 0.9579
O7 0.3693 0.3693 0.5421
O8 0.8460 0.5215 0.7500
O9 0.7920 0.5839 0.5000
O10 0.2080 0.4161 0.5000
O11 0.5215 0.6756 0.2500
O12 0.5809 0.1618 0.5000
O13 0.3693 0.0000 0.0421
O14 0.4191 0.5809 0.5000
O15 0.0000 0.6307 0.5421
O16 0.6307 0.0000 0.9579
O17 0.7920 0.5839 0.0000
O18 0.8382 0.4191 0.0000
O19 0.6756 0.1540 0.7500
O20 0.8460 0.3244 0.2500
O21 0.7920 0.2080 0.5000
O22 0.0000 0.3693 0.4579
O23 0.5809 0.4191 0.0000
O24 0.6307 0.6307 0.0421
O25 0.6756 0.5215 0.2500
O26 0.1618 0.5809 0.0000
O27 0.4785 0.3244 0.7500
O28 0.3244 0.8460 0.2500
O29 0.5839 0.7920 0.0000
O30 0.1540 0.6756 0.7500
O31 0.2080 0.4161 0.0000
O32 0.2080 0.7920 0.5000
O33 0.0000 0.3693 0.0421
O34 0.7920 0.2080 0.0000
O35 0.4161 0.2080 0.5000
O36 0.0000 0.6307 0.9579
O37 0.4191 0.8382 0.0000
O38 0.5215 0.8460 0.7500
O39 0.4785 0.1540 0.2500
O40 0.5839 0.7920 0.5000
O41 0.4191 0.5809 0.0000
O42 0.6307 0.6307 0.4579
O43 0.3693 0.0000 0.4579
O44 0.3244 0.4785 0.7500
O45 0.1618 0.5809 0.5000
O46 0.1540 0.4785 0.2500
O47 0.4191 0.8382 0.5000
O48 0.5809 0.4191 0.5000
Si1 0.3305 0.8694 0.0736
Si2 0.8694 0.5389 0.9264
Si3 0.1306 0.4611 0.4264
Si4 0.8694 0.3305 0.4264
Si5 0.5389 0.8694 0.9264
Si6 0.6695 0.1306 0.9264
Si7 0.3305 0.4611 0.5736
Si8 0.6695 0.5389 0.4264
Si9 0.5389 0.6695 0.4264
Si10 0.8694 0.5389 0.5736
Si11 0.8694 0.3305 0.0736
Si12 0.3305 0.8694 0.4264
Si13 0.1306 0.6695 0.5736
Si14 0.6695 0.5389 0.0736
Si15 0.4611 0.1306 0.4264
Si16 0.3305 0.4611 0.9264
Si17 0.5389 0.6695 0.0736
Si18 0.4611 0.1306 0.0736
Si19 0.6695 0.1306 0.5736
Si20 0.4611 0.3305 0.5736
Si21 0.4611 0.3305 0.9264
Si22 0.1306 0.4611 0.0736
Si23 0.1306 0.6695 0.9264
Si24 0.5389 0.8694 0.5736

Summary:
- volume (Å³ per cell) = 1450
- energy of formation from the pure elements (eV/atom) = -3.02
- VASP energy (eV/atom) = -9.93



(4)
A geometry-optimized SmCl3 structure, computed with meta-GGA r2SCAN.

Cell: 9.3349 9.3349 3.7087 Å, 90.00 90.00 120.00°
Atoms (fractional coordinates):
Cl1 0.5801 0.7900 0.2500
Cl2 0.2100 0.4199 0.2500
Cl3 0.7900 0.2100 0.7500
Cl4 0.4199 0.2100 0.7500
Cl5 0.7900 0.5801 0.7500
Cl6 0.2100 0.7900 0.2500
Sm1 0.6667 0.3333 0.2500
Sm2 0.3333 0.6667 0.7500

Summary:
- volume (Å³ per cell) = 280
- energy of formation from the pure elements (eV/atom) = -2.43
- VASP energy (eV/atom) = -14.48



(5)
A geometry-optimized TmNbO4 structure, computed with meta-GGA r2SCAN.

Cell: 5.0775 5.2319 6.4680 Å, 112.19 111.40 93.91°
Atoms (fractional coordinates):
O1 0.7901 0.4537 0.0738
O2 0.0719 0.7830 0.5633
O3 0.9281 0.2170 0.4367
O4 0.2099 0.5463 0.9262
O5 0.5086 0.7197 0.4366
O6 0.2837 0.1200 0.0738
O7 0.7163 0.8800 0.9262
O8 0.4914 0.2803 0.5634
Tm1 0.8783 0.1282 0.7565
Tm2 0.1217 0.8718 0.2435
Nb1 0.6405 0.3905 0.2811
Nb2 0.3595 0.6095 0.7189

Summary:
- volume (Å³ per cell) = 144
- energy of formation from the pure elements (eV/atom) = -3.42
- VASP energy (eV/atom) = -17.37



(6)
A geometry-optimized V3P4O16 structure, computed with meta-GGA r2SCAN.

Cell: 5.0542 8.2136 13.9431 Å, 81.84 90.00 90.00°
Atoms (fractional coordinates):
O1 0.4195 0.9661 0.7333
O2 0.2021 0.4081 0.0660
O3 0.6808 0.9124 0.1038
O4 0.9541 0.8045 0.2852
O5 0.1881 0.9231 0.1217
O6 0.7235 0.4493 0.1152
O7 0.0805 0.4661 0.2333
O8 0.8997 0.7873 0.4663
O9 0.9843 0.1965 0.1797
O10 0.3192 0.0876 0.8962
O11 0.3997 0.7127 0.0337
O12 0.0157 0.8035 0.8203
O13 0.2235 0.0507 0.3848
O14 0.1808 0.5876 0.3962
O15 0.7979 0.5919 0.9340
O16 0.7021 0.0919 0.4340
O17 0.8119 0.0769 0.8783
O18 0.5805 0.0339 0.2667
O19 0.4843 0.3035 0.3203
O20 0.2979 0.9081 0.5660
O21 0.4541 0.6955 0.2148
O22 0.8192 0.4124 0.6038
O23 0.7765 0.9493 0.6152
O24 0.2765 0.5507 0.8848
O25 0.3119 0.4231 0.6217
O26 0.1003 0.2127 0.5337
O27 0.5459 0.3045 0.7852
O28 0.0459 0.1955 0.7148
O29 0.5157 0.6965 0.6797
O30 0.9195 0.5339 0.7667
O31 0.6003 0.2873 0.9663
O32 0.6881 0.5769 0.3783
V1 0.3941 0.5167 0.3038
V2 0.6059 0.4833 0.6962
V3 0.8941 0.9833 0.1962
V4 0.5000 0.5000 0.0000
V5 0.0000 0.0000 0.5000
V6 0.1059 0.0167 0.8038
P1 0.9221 0.6889 0.3828
P2 0.0779 0.3111 0.6172
P3 0.4957 0.1147 0.3530
P4 0.5779 0.1889 0.8828
P5 0.4221 0.8111 0.1172
P6 0.5043 0.8853 0.6470
P7 0.0043 0.6147 0.8530
P8 0.9957 0.3853 0.1470

Summary:
- volume (Å³ per cell) = 573
- energy of formation from the pure elements (eV/atom) = -2.45
- VASP energy (eV/atom) = -10.01